No. 1
Below is crystalline ZnSn4O8 at its relaxed geometry, with properties calculated at the GGA-PBE level.

Geometry as POSCAR:
```
ZnSn4O8
1.0
7.642 -1.611 0.000
7.642 1.611 0.000
-7.068 0.000 7.750
Zn Sn O
1 4 8
Direct
0.000 0.000 0.000
0.134 0.134 0.465
0.329 0.329 0.173
0.646 0.646 0.805
0.842 0.842 0.514
0.027 0.027 0.713
0.267 0.267 0.917
0.323 0.323 0.625
0.346 0.346 0.388
0.629 0.629 0.589
0.652 0.652 0.353
0.709 0.709 0.061
0.949 0.949 0.266
```

## Properties
**Space-group type**: Cm
**Relative energy among the computed polymorphs**: 0.40 eV/f.u.

No. 2
Below is crystalline ZnSn4O8 at its relaxed geometry, with properties calculated at the GGA-PBE level.

Geometry as POSCAR:
```
ZnSn4O8
1.0
7.906 -1.622 0.000
7.906 1.622 0.000
-5.805 0.000 7.879
Zn Sn O
1 4 8
Direct
0.000 0.000 0.000
0.030 0.030 0.680
0.330 0.330 0.625
0.556 0.556 0.359
0.794 0.794 0.981
0.170 0.170 0.463
0.183 0.183 0.899
0.499 0.499 0.795
0.536 0.536 0.128
0.562 0.562 0.586
0.842 0.842 0.780
0.862 0.862 0.521
0.959 0.959 0.290
```

## Properties
**Space-group type**: Cm
**Relative energy among the computed polymorphs**: 0.00 eV/f.u.

No. 3
Below is crystalline SrO2 at its relaxed geometry, with properties calculated at the GGA-PBE level.

Geometry as POSCAR:
```
SrO2
1.0
-1.787 1.787 3.410
1.787 -1.787 3.410
1.787 1.787 -3.410
Sr O
1 2
Direct
0.000 0.000 0.000
0.389 0.389 0.000
0.611 0.611 0.000
```

## Properties
**Space-group type**: I4/mmm

No. 4
Below is crystalline SrO2 at its relaxed geometry, with properties calculated at the GGA-PBE level.

Geometry as POSCAR:
```
SrO2
1.0
8.511 0.000 0.000
0.000 4.947 0.000
0.000 0.000 4.724
Sr O
4 8
Direct
0.147 0.250 0.109
0.353 0.750 0.609
0.647 0.250 0.391
0.853 0.750 0.891
0.105 0.750 0.277
0.145 0.750 0.966
0.355 0.250 0.466
0.395 0.250 0.777
0.605 0.750 0.223
0.645 0.750 0.534
0.855 0.250 0.034
0.895 0.250 0.723
```

## Properties
**Space-group type**: Pnma

No. 5
Below is crystalline Sr5Ta4O15 at its relaxed geometry, with properties calculated at the GGA-PBE level.

Geometry as POSCAR:
```
Sr5Ta4O15
1.0
5.715 0.000 0.000
-2.858 4.950 0.000
0.000 0.000 11.713
Sr Ta O
5 4 15
Direct
0.000 0.000 0.000
0.333 0.667 0.444
0.333 0.667 0.778
0.667 0.333 0.222
0.667 0.333 0.556
0.000 0.000 0.315
0.000 0.000 0.685
0.333 0.667 0.104
0.667 0.333 0.896
0.000 0.500 0.000
0.165 0.330 0.191
0.165 0.835 0.191
0.168 0.337 0.611
0.168 0.832 0.611
0.330 0.165 0.809
0.337 0.168 0.389
0.500 0.000 0.000
0.500 0.500 0.000
0.663 0.832 0.611
0.670 0.835 0.191
0.832 0.168 0.389
0.832 0.663 0.389
0.835 0.165 0.809
0.835 0.670 0.809
```

## Properties
**Space-group type**: P-3m1
**Relative energy among the computed polymorphs**: 0.39 eV/f.u.

No. 6
Below is crystalline SrTa4O11 at its relaxed geometry, with properties calculated at the GGA-PBE level.

Geometry as POSCAR:
```
SrTa4O11
1.0
6.319 0.000 0.000
-3.159 5.472 0.000
0.000 0.000 12.461
Sr Ta O
2 8 22
Direct
0.333 0.667 0.250
0.667 0.333 0.750
0.000 0.356 0.500
0.000 0.644 0.000
0.333 0.667 0.750
0.356 0.000 0.500
0.356 0.356 0.000
0.644 0.000 0.000
0.644 0.644 0.500
0.667 0.333 0.250
0.000 0.245 0.000
0.000 0.755 0.500
0.063 0.433 0.654
0.063 0.630 0.846
0.245 0.000 0.000
0.245 0.245 0.500
0.333 0.667 0.034
0.333 0.667 0.466
0.370 0.433 0.846
0.370 0.937 0.654
0.433 0.063 0.346
0.433 0.370 0.154
0.567 0.630 0.654
0.567 0.937 0.846
0.630 0.063 0.154
0.630 0.567 0.346
0.667 0.333 0.534
0.667 0.333 0.966
0.755 0.000 0.500
0.755 0.755 0.000
0.937 0.370 0.346
0.937 0.567 0.154
```

## Properties
**Space-group type**: P6_322
**Largest piezoelectric modulus**: 0.34 C/m²

No. 7
Below is crystalline Sr3Ta2O8 at its relaxed geometry, with properties calculated at the GGA-PBE level.

Geometry as POSCAR:
```
Sr3Ta2O8
1.0
5.257 -4.605 0.000
5.257 4.605 0.000
-3.682 0.000 8.688
Sr Ta O
6 4 16
Direct
0.115 0.237 0.003
0.224 0.776 0.750
0.237 0.115 0.503
0.763 0.885 0.497
0.776 0.224 0.250
0.885 0.763 0.997
0.291 0.571 0.380
0.429 0.709 0.120
0.571 0.291 0.880
0.709 0.429 0.620
0.109 0.777 0.465
0.134 0.339 0.320
0.203 0.565 0.149
0.223 0.891 0.035
0.339 0.134 0.820
0.399 0.555 0.892
0.435 0.797 0.351
0.445 0.601 0.608
0.555 0.399 0.392
0.565 0.203 0.649
0.601 0.445 0.108
0.661 0.866 0.180
0.777 0.109 0.965
0.797 0.435 0.851
0.866 0.661 0.680
0.891 0.223 0.535
```

## Properties
**Space-group type**: C2/c

No. 8
Below is crystalline SrTa2O7 at its relaxed geometry, with properties calculated at the GGA-PBE level.

Geometry as POSCAR:
```
SrTa2O7
1.0
-1.988 1.988 9.507
1.988 -1.988 9.507
1.988 1.988 -9.507
Sr Ta O
1 2 7
Direct
0.000 0.000 0.000
0.385 0.385 0.000
0.615 0.615 0.000
0.100 0.600 0.500
0.289 0.289 0.000
0.400 0.900 0.500
0.500 0.500 0.000
0.600 0.100 0.500
0.711 0.711 0.000
0.900 0.400 0.500
```

## Properties
**Space-group type**: I4/mmm
**Relative energy among the computed polymorphs**: 0.00 eV/f.u.

ΔE_f for every record listed, in sequence, given in eV per atom: -1.81 -1.84 -2.21 -2.20 -3.46 -3.43 -3.40 -2.83.